1.
Entry from the Materials Project database: an optimized crystal structure of Cr3Ga4 (PBE-GGA).

Lattice parameters (Å, degrees): 6.381 6.381 7.866 78.39 78.39 75.99
Atoms (fractional coordinates):
Cr 0.000 0.000 0.000
Cr 0.506 0.506 0.662
Cr 0.494 0.494 0.338
Cr 0.230 0.230 0.339
Cr 0.770 0.770 0.661
Cr 0.961 0.332 0.143
Cr 0.668 0.039 0.857
Cr 0.039 0.668 0.857
Cr 0.332 0.961 0.143
Ga 0.287 0.287 0.902
Ga 0.713 0.713 0.098
Ga 0.048 0.048 0.648
Ga 0.952 0.952 0.352
Ga 0.388 0.811 0.845
Ga 0.189 0.612 0.155
Ga 0.612 0.189 0.155
Ga 0.811 0.388 0.845
Ga 0.152 0.544 0.559
Ga 0.456 0.848 0.441
Ga 0.848 0.456 0.441
Ga 0.544 0.152 0.559

Output
Formation energy, eV per atom: -0.02
Symmetry: C2/m (12)

2.
Entry from the Materials Project database: an optimized crystal structure of Hf3Cr2Ga4 (PBE-GGA).

Lattice parameters (Å, degrees): 5.258 13.532 16.709 90.00 90.00 90.00
Atoms (fractional coordinates):
Hf 0.250 0.357 0.462
Hf 0.250 0.143 0.962
Hf 0.750 0.643 0.538
Hf 0.750 0.857 0.038
Hf 0.250 0.969 0.435
Hf 0.250 0.531 0.935
Hf 0.750 0.031 0.565
Hf 0.750 0.469 0.065
Hf 0.250 0.733 0.442
Hf 0.250 0.767 0.942
Hf 0.750 0.267 0.558
Hf 0.750 0.233 0.058
Hf 0.250 0.975 0.673
Hf 0.250 0.525 0.173
Hf 0.750 0.025 0.327
Hf 0.750 0.475 0.827
Hf 0.250 0.820 0.154
Hf 0.250 0.680 0.654
Hf 0.750 0.180 0.846
Hf 0.750 0.320 0.346
Hf 0.250 0.187 0.286
Hf 0.250 0.313 0.786
Hf 0.750 0.813 0.714
Hf 0.750 0.687 0.214
Cr 0.015 0.961 0.873
Cr 0.485 0.539 0.373
Cr 0.515 0.039 0.127
Cr 0.985 0.461 0.627
Cr 0.985 0.039 0.127
Cr 0.515 0.461 0.627
Cr 0.485 0.961 0.873
Cr 0.015 0.539 0.373
Cr 0.024 0.836 0.315
Cr 0.476 0.664 0.815
Cr 0.524 0.164 0.685
Cr 0.976 0.336 0.185
Cr 0.976 0.164 0.685
Cr 0.524 0.336 0.185
Cr 0.476 0.836 0.315
Cr 0.024 0.664 0.815
Ga 0.250 0.126 0.561
Ga 0.250 0.374 0.061
Ga 0.750 0.874 0.439
Ga 0.750 0.626 0.939
Ga 0.250 0.949 0.017
Ga 0.250 0.551 0.517
Ga 0.750 0.051 0.983
Ga 0.750 0.449 0.483
Ga 0.250 0.106 0.803
Ga 0.250 0.394 0.303
Ga 0.750 0.894 0.197
Ga 0.750 0.606 0.697
Ga 0.250 0.196 0.122
Ga 0.250 0.304 0.622
Ga 0.750 0.804 0.878
Ga 0.750 0.696 0.378
Ga 0.250 0.827 0.784
Ga 0.250 0.673 0.284
Ga 0.750 0.173 0.216
Ga 0.750 0.327 0.716
Ga 0.250 0.986 0.256
Ga 0.250 0.514 0.756
Ga 0.750 0.014 0.744
Ga 0.750 0.486 0.244
Ga 0.994 0.160 0.431
Ga 0.506 0.340 0.931
Ga 0.494 0.840 0.569
Ga 0.006 0.660 0.069
Ga 0.006 0.840 0.569
Ga 0.494 0.660 0.069
Ga 0.506 0.160 0.431
Ga 0.994 0.340 0.931

Output
Formation energy, eV per atom: -0.35
Symmetry: Pnma (62)

3.
Entry from the Materials Project database: an optimized crystal structure of LiCr4GaS8 (PBE-GGA).

Lattice parameters (Å, degrees): 7.134 7.134 7.134 60.00 60.00 60.00
Atoms (fractional coordinates):
Li 0.000 0.000 0.000
Cr 0.371 0.371 0.371
Cr 0.371 0.371 0.887
Cr 0.371 0.887 0.371
Cr 0.887 0.371 0.371
Ga 0.750 0.750 0.750
S 0.137 0.137 0.137
S 0.137 0.137 0.589
S 0.137 0.589 0.137
S 0.589 0.137 0.137
S 0.615 0.615 0.615
S 0.615 0.615 0.154
S 0.615 0.154 0.615
S 0.154 0.615 0.615

Output
Formation energy, eV per atom: -1.09
Symmetry: F-43m (216)

4.
Entry from the Materials Project database: an optimized crystal structure of MgCrGaS4 (PBE-GGA).

Lattice parameters (Å, degrees): 7.268 7.283 7.282 59.89 60.06 60.06
Atoms (fractional coordinates):
Mg 0.874 0.876 0.876
Mg 0.126 0.124 0.124
Cr 0.500 0.500 0.000
Cr 0.500 0.000 0.500
Ga 0.500 0.500 0.500
Ga 0.000 0.500 0.500
S 0.731 0.740 0.740
S 0.266 0.255 0.714
S 0.266 0.714 0.255
S 0.712 0.260 0.260
S 0.734 0.286 0.745
S 0.288 0.740 0.740
S 0.269 0.260 0.260
S 0.734 0.745 0.286

Output
Formation energy, eV per atom: -1.13
Symmetry: Imma (74)

5.
Entry from the Materials Project database: an optimized crystal structure of Mg2Cr3GaS8 (PBE-GGA).

Lattice parameters (Å, degrees): 7.254 7.255 7.255 59.92 59.92 59.92
Atoms (fractional coordinates):
Mg 0.875 0.876 0.876
Mg 0.124 0.124 0.124
Cr 0.500 0.500 0.000
Cr 0.000 0.500 0.500
Cr 0.500 0.000 0.500
Ga 0.500 0.500 0.500
S 0.737 0.737 0.737
S 0.260 0.260 0.712
S 0.260 0.712 0.260
S 0.712 0.260 0.260
S 0.740 0.288 0.740
S 0.288 0.740 0.740
S 0.263 0.263 0.263
S 0.740 0.740 0.288

Output
Formation energy, eV per atom: -1.17
Symmetry: R-3m (166)

6.
Entry from the Materials Project database: an optimized crystal structure of Mn2CrGa3S8 (PBE-GGA).

Lattice parameters (Å, degrees): 12.592 12.592 6.477 85.14 85.14 16.87
Atoms (fractional coordinates):
Mn 0.352 0.352 0.882
Mn 0.852 0.852 0.382
Cr 0.648 0.648 0.112
Ga 0.000 0.000 0.002
Ga 0.500 0.500 0.497
Ga 0.149 0.149 0.619
S 0.685 0.685 0.442
S 0.184 0.184 0.936
S 0.817 0.817 0.062
S 0.317 0.317 0.562
S 0.554 0.554 0.150
S 0.055 0.055 0.649
S 0.949 0.949 0.351
S 0.450 0.450 0.849

Output
Formation energy, eV per atom: -0.77
Symmetry: Cm (8)

7.
Entry from the Materials Project database: an optimized crystal structure of Mn2Cr3GaS8 (PBE-GGA).

Lattice parameters (Å, degrees): 7.198 7.198 7.198 59.94 59.94 59.94
Atoms (fractional coordinates):
Mn 0.375 0.375 0.375
Mn 0.625 0.625 0.625
Cr 0.500 0.000 0.000
Cr 0.000 0.000 0.500
Cr 0.000 0.500 0.000
Ga 0.000 0.000 0.000
S 0.239 0.239 0.239
S 0.781 0.242 0.242
S 0.242 0.242 0.781
S 0.242 0.781 0.242
S 0.761 0.761 0.761
S 0.219 0.758 0.758
S 0.758 0.758 0.219
S 0.758 0.219 0.758

Output
Formation energy, eV per atom: -0.95
Symmetry: R-3m (166)

8.
Entry from the Materials Project database: an optimized crystal structure of Mn2CrGa3Se8 (PBE-GGA).

Lattice parameters (Å, degrees): 26.586 26.586 26.586 8.42 8.42 8.42
Atoms (fractional coordinates):
Mn 0.882 0.882 0.882
Mn 0.382 0.382 0.382
Cr 0.117 0.117 0.117
Ga 0.000 0.000 0.000
Ga 0.500 0.500 0.500
Ga 0.618 0.618 0.618
Se 0.938 0.938 0.938
Se 0.438 0.438 0.438
Se 0.561 0.561 0.561
Se 0.061 0.061 0.061
Se 0.648 0.648 0.648
Se 0.148 0.148 0.148
Se 0.850 0.850 0.850
Se 0.350 0.350 0.350

Output
Formation energy, eV per atom: -0.66
Symmetry: R3m (160)

| no. | size of the total moment (μB/cell) |
| --- | --- |
| 1 | 0.12 |
| 2 | 0.01 |
| 3 | 12.00 |
| 4 | 6.00 |
| 5 | 9.00 |
| 6 | 12.95 |
| 7 | 19.00 |
| 8 | 12.51 |